# 1
## Li10Zn3Ge4O16 (GGA-PBE)

Data for a relaxed Li10Zn3Ge4O16 crystal.

Calculated values
ΔE to the lowest computed polymorph: 0.000 eV per atom
formation enthalpy at 0 K: -2232 meV per atom

Cell lengths 5.2313, 6.3912, 10.9988 Å; angles 90.21, 90.37, 90.42 degrees
Closest atoms and distances in Å follow each position.
Sites, in units of the cell vectors:
Li 0.6909 0.7453 0.0720  4 O 1.89-2.07
Li 0.3228 0.4972 0.1643  4 O 1.95-2.04
Li 0.8218 0.9962 0.3315  4 O 1.96-2.04
Li 0.1926 0.2434 0.4246  4 O 1.96-2.08
Li 0.8064 0.7642 0.5811  4 O 1.99-2.10
Li 0.1920 0.9985 0.6623  4 O 1.89-2.05
Li 0.9831 0.2218 0.8084  3 O 1.90-2.12
Li 0.6440 0.9735 0.8326  4 O 1.91-2.10
Li 0.6589 0.5207 0.8363  4 O 1.89-2.03
Li 0.3589 0.2499 0.9353  4 O 1.92-2.08
Zn 0.3237 0.0018 0.1655  4 O 1.97-2.04
Zn 0.8195 0.5024 0.3306  4 O 1.97-2.05
Zn 0.1951 0.5070 0.6614  4 O 1.95-2.07
Ge 0.8299 0.2493 0.0814  4 O 1.77-1.79
Ge 0.3246 0.7488 0.4111  4 O 1.77-1.79
Ge 0.6851 0.2493 0.5870  4 O 1.77-1.80
Ge 0.1583 0.7577 0.9130  4 O 1.76-1.83
O 0.2961 0.7471 0.0620  1 Ge 1.79, 1 Li 1.96, 1 Zn 1.99
O 0.1718 0.2502 0.0879  1 Ge 1.79, 2 Li 1.95, 1 Zn 1.97
O 0.7112 0.4751 0.1596  1 Ge 1.79, 1 Zn 1.97, 1 Li 1.98
O 0.7122 0.0243 0.1602  1 Ge 1.79, 1 Li 1.98
O 0.2108 0.9765 0.3357  1 Ge 1.78, 1 Li 1.97, 1 Zn 1.97
O 0.2103 0.5194 0.3360  1 Ge 1.78, 1 Li 1.99
O 0.6662 0.7495 0.4129  1 Ge 1.79, 2 Li 1.99, 1 Zn 1.99
O 0.7962 0.2467 0.4345  1 Ge 1.78, 1 Li 1.96
O 0.2056 0.7583 0.5618  1 Ge 1.77, 1 Li 1.89, 1 Zn 1.95
O 0.3421 0.2514 0.5886  1 Ge 1.79, 2 Li 1.96-1.97, 1 Zn 1.98
O 0.8015 0.4754 0.6682  1 Ge 1.80
O 0.8046 0.0352 0.6719  1 Ge 1.77
O 0.2657 0.9908 0.8381  1 Ge 1.79, 2 Li 1.97-1.98
O 0.2715 0.5194 0.8379  1 Ge 1.83, 1 Zn 1.98, 1 Li 2.03
O 0.8218 0.7521 0.9123  1 Ge 1.76, 3 Li 1.89-1.91
O 0.7258 0.2517 0.9279  1 Ge 1.77, 2 Li 1.90-1.92



# 2
## Tm2Ga9Rh3 (GGA-PBE)

Data for a relaxed Tm2Ga9Rh3 crystal.

Calculated values
formation enthalpy at 0 K: -689 meV per atom

Cell lengths 7.5568, 7.5568, 9.5108 Å; angles 90.00, 90.00, 119.93 degrees
Closest atoms and distances in Å follow each position.
Sites, in units of the cell vectors:
Tm 0.9968 0.6676 0.2500  11 Ga 3.01-3.13
Tm 0.0032 0.3324 0.7500  11 Ga 3.01-3.13
Tm 0.6676 0.9968 0.2500  11 Ga 3.01-3.13
Tm 0.3324 0.0032 0.7500  11 Ga 3.01-3.13
Ga 0.1243 0.1243 0.2500  2 Rh 2.56, 6 Ga 2.75-2.77
Ga 0.8757 0.8757 0.7500  2 Rh 2.56, 6 Ga 2.75-2.77
Ga 0.9997 0.3340 0.0788  3 Rh 2.57-2.63, 3 Ga 2.75-2.86
Ga 0.0003 0.6660 0.9212  3 Rh 2.57-2.63, 3 Ga 2.75-2.86
Ga 0.0003 0.6660 0.5788  3 Rh 2.57-2.63, 3 Ga 2.75-2.86
Ga 0.3340 0.9997 0.4212  3 Rh 2.57-2.63, 3 Ga 2.75-2.86
Ga 0.9997 0.3340 0.4212  3 Rh 2.57-2.63, 3 Ga 2.75-2.86
Ga 0.6660 0.0003 0.5788  3 Rh 2.57-2.63, 3 Ga 2.75-2.86
Ga 0.6660 0.0003 0.9212  3 Rh 2.57-2.63, 3 Ga 2.75-2.86
Ga 0.3340 0.9997 0.0788  3 Rh 2.57-2.63, 3 Ga 2.75-2.86
Ga 0.3330 0.3330 0.5636  3 Rh 2.59-2.65, 5 Ga 2.80-2.86
Ga 0.6670 0.6670 0.4364  3 Rh 2.59-2.65, 5 Ga 2.80-2.86
Ga 0.6670 0.6670 0.0636  3 Rh 2.59-2.65, 5 Ga 2.80-2.86
Ga 0.3330 0.3330 0.9364  3 Rh 2.59-2.65, 5 Ga 2.80-2.86
Ga 0.3378 0.5478 0.2500  2 Rh 2.57, 6 Ga 2.75-2.81
Ga 0.6622 0.4522 0.7500  2 Rh 2.57, 6 Ga 2.75-2.81
Ga 0.5478 0.3378 0.2500  2 Rh 2.57, 6 Ga 2.75-2.81
Ga 0.4522 0.6622 0.7500  2 Rh 2.57, 6 Ga 2.75-2.81
Rh 0.6717 0.3283 0.0000  8 Ga 2.57-2.65
Rh 0.3283 0.6717 0.0000  8 Ga 2.57-2.65
Rh 0.3283 0.6717 0.5000  8 Ga 2.57-2.65
Rh 0.6717 0.3283 0.5000  8 Ga 2.57-2.65
Rh 0.0000 0.0000 0.0000  8 Ga 2.56-2.63
Rh 0.0000 0.0000 0.5000  8 Ga 2.56-2.63



# 3
## K3Ge7O20 (GGA-PBE)

Data for a relaxed K3Ge7O20 crystal.

Calculated values
formation enthalpy at 0 K: -1521 meV per atom

Cell lengths 7.7473, 7.7473, 7.7473 Å; angles 90.00, 90.00, 90.00 degrees
Closest atoms and distances in Å follow each position.
Sites, in units of the cell vectors:
K 0.0000 0.0000 0.5000  12 O 3.15-3.17
K 0.0000 0.5000 0.0000  12 O 3.15-3.17
K 0.5000 0.0000 0.0000  12 O 3.15-3.17
Ge 0.6394 0.6394 0.3606  6 O 1.85-2.00
Ge 0.6394 0.3606 0.6394  6 O 1.85-2.00
Ge 0.3606 0.6394 0.6394  6 O 1.85-2.00
Ge 0.3606 0.3606 0.3606  6 O 1.85-2.00
Ge 0.5000 0.5000 0.0000  4 O 1.76
Ge 0.5000 0.0000 0.5000  4 O 1.76
Ge 0.0000 0.5000 0.5000  4 O 1.76
O 0.3831 0.3831 0.6169  3 Ge 2.00
O 0.3831 0.6169 0.3831  3 Ge 2.00
O 0.6169 0.3831 0.3831  3 Ge 2.00
O 0.6169 0.6169 0.6169  3 Ge 2.00
O 0.8784 0.6359 0.3641  2 Ge 1.76-1.85
O 0.6359 0.6359 0.1216  2 Ge 1.76-1.85
O 0.6359 0.8784 0.3641  2 Ge 1.76-1.85
O 0.8784 0.3641 0.6359  2 Ge 1.76-1.85
O 0.6359 0.3641 0.8784  2 Ge 1.76-1.85
O 0.6359 0.1216 0.6359  2 Ge 1.76-1.85
O 0.1216 0.6359 0.6359  2 Ge 1.76-1.85
O 0.3641 0.6359 0.8784  2 Ge 1.76-1.85
O 0.3641 0.8784 0.6359  2 Ge 1.76-1.85
O 0.1216 0.3641 0.3641  2 Ge 1.76-1.85
O 0.3641 0.3641 0.1216  2 Ge 1.76-1.85
O 0.3641 0.1216 0.3641  2 Ge 1.76-1.85
O 0.1545 0.1545 0.8455  7 O 3.07-3.39, 3 K 3.17
O 0.1545 0.8455 0.1545  7 O 3.07-3.39, 3 K 3.17
O 0.8455 0.1545 0.1545  7 O 3.07-3.39, 3 K 3.17
O 0.8455 0.8455 0.8455  7 O 3.07-3.39, 3 K 3.17



# 4
## UFe5Sn (GGA-PBE)

Data for a relaxed UFe5Sn crystal.

Calculated values
formation enthalpy at 0 K: -25 meV per atom

Cell lengths 4.7005, 8.0888, 10.4421 Å; angles 90.00, 90.00, 90.00 degrees
Closest atoms and distances in Å follow each position.
Sites, in units of the cell vectors:
U 0.2500 0.2395 0.4395  4 Fe 2.61-2.85
U 0.7500 0.7605 0.5605  4 Fe 2.61-2.85
U 0.2500 0.7395 0.0605  4 Fe 2.61-2.85
U 0.7500 0.2605 0.9395  4 Fe 2.61-2.85
Fe 0.7500 0.9304 0.1067  5 Fe 2.48-2.76, 1 Sn 2.61
Fe 0.7500 0.6067 0.0238  5 Fe 2.43-2.51, 2 U 2.61
Fe 0.2500 0.8933 0.5238  5 Fe 2.43-2.51, 2 U 2.61
Fe 0.7500 0.1067 0.4762  5 Fe 2.43-2.51, 2 U 2.61
Fe 0.0008 0.4274 0.1845  7 Fe 2.34-2.51
Fe 0.5008 0.5726 0.8155  7 Fe 2.34-2.51
Fe 0.4992 0.9274 0.3155  7 Fe 2.34-2.51
Fe 0.9992 0.0726 0.6845  7 Fe 2.34-2.51
Fe 0.9992 0.5726 0.8155  7 Fe 2.34-2.51
Fe 0.4992 0.4274 0.1845  7 Fe 2.34-2.51
Fe 0.5008 0.0726 0.6845  7 Fe 2.34-2.51
Fe 0.2500 0.3186 0.7512  7 Fe 2.42-2.53, 2 Sn 2.66
Fe 0.7500 0.4304 0.3933  5 Fe 2.48-2.76, 1 Sn 2.61
Fe 0.2500 0.5696 0.6067  5 Fe 2.48-2.76, 1 Sn 2.61
Fe 0.0008 0.9274 0.3155  7 Fe 2.34-2.51
Fe 0.2500 0.0696 0.8933  5 Fe 2.48-2.76, 1 Sn 2.61
Fe 0.7500 0.1814 0.2512  7 Fe 2.42-2.53, 2 Sn 2.66
Fe 0.2500 0.8186 0.7488  7 Fe 2.42-2.53, 2 Sn 2.66
Fe 0.7500 0.6814 0.2488  7 Fe 2.42-2.53, 2 Sn 2.66
Fe 0.2500 0.3933 0.9762  5 Fe 2.43-2.51, 2 U 2.61
Sn 0.7500 0.3725 0.6396  10 Fe 2.61-2.86
Sn 0.2500 0.6275 0.3604  10 Fe 2.61-2.86
Sn 0.7500 0.8725 0.8604  10 Fe 2.61-2.86
Sn 0.2500 0.1275 0.1396  10 Fe 2.61-2.86



# 5
## Eu5SiCl6O4 (GGA-PBE)

Data for a relaxed Eu5SiCl6O4 crystal.

Calculated values
formation enthalpy at 0 K: -2823 meV per atom

Cell lengths 8.3492, 8.3492, 11.1130 Å; angles 82.99, 82.99, 114.29 degrees
Closest atoms and distances in Å follow each position.
Sites, in units of the cell vectors:
Eu 0.2649 0.4252 0.6325  2 O 2.50-2.56
Eu 0.7351 0.5748 0.3675  2 O 2.50-2.56
Eu 0.5748 0.7351 0.8675  2 O 2.50-2.56
Eu 0.4252 0.2649 0.1325  2 O 2.50-2.56
Eu 0.6999 0.3001 0.7500  2 O 2.50
Eu 0.8127 0.0712 0.4809  2 O 2.42-2.51
Eu 0.9288 0.1873 0.0191  2 O 2.42-2.51
Eu 0.0712 0.8127 0.9809  2 O 2.42-2.51
Eu 0.1873 0.9288 0.5191  2 O 2.42-2.51
Eu 0.3001 0.6999 0.2500  2 O 2.50
Si 0.9220 0.0780 0.7500  4 O 1.64-1.66
Si 0.0780 0.9220 0.2500  4 O 1.64-1.66
Cl 0.5198 0.2218 0.5465  3 Eu 2.86-3.03
Cl 0.4802 0.7782 0.4535  3 Eu 2.86-3.03
Cl 0.7461 0.2539 0.2500  4 Eu 3.05-3.15
Cl 0.7036 0.6421 0.6411  3 Eu 2.93-3.16, 1 O 3.28
Cl 0.2539 0.7461 0.7500  4 Eu 3.05-3.15
Cl 0.6421 0.7036 0.1411  3 Eu 2.93-3.16, 1 O 3.28
Cl 0.7782 0.4802 0.9535  3 Eu 2.86-3.03
Cl 0.2218 0.5198 0.0465  3 Eu 2.86-3.03
Cl 0.5000 0.0000 0.0000  6 Eu 3.03-3.31
Cl 0.3579 0.2964 0.8589  3 Eu 2.93-3.16, 1 O 3.28
Cl 0.2964 0.3579 0.3589  3 Eu 2.93-3.16, 1 O 3.28
Cl 0.0000 0.5000 0.5000  6 Eu 3.03-3.31
O 0.0626 0.1004 0.6249  1 Si 1.64
O 0.1004 0.0626 0.1249  1 Si 1.64
O 0.9796 0.2772 0.7885  1 Si 1.66
O 0.8996 0.9374 0.8751  1 Si 1.64
O 0.0204 0.7228 0.2115  1 Si 1.66
O 0.7228 0.0204 0.7115  1 Si 1.66
O 0.2772 0.9796 0.2885  1 Si 1.66
O 0.9374 0.8996 0.3751  1 Si 1.64



# 6
## Mg3TiB2O8 (GGA-PBE)

Data for a relaxed Mg3TiB2O8 crystal.

Calculated values
formation enthalpy at 0 K: -3134 meV per atom

Cell lengths 3.1286, 9.3885, 9.5022 Å; angles 90.00, 90.00, 90.00 degrees
Closest atoms and distances in Å follow each position.
Sites, in units of the cell vectors:
Mg 0.0000 0.8977 0.4323  6 O 2.01-2.17
Mg 0.0000 0.3977 0.5677  6 O 2.01-2.17
Mg 0.5000 0.1032 0.0639  6 O 2.04-2.18
Mg 0.5000 0.6032 0.9361  6 O 2.04-2.18
Mg 0.0000 0.3710 0.1811  6 O 2.04-2.18
Mg 0.0000 0.8710 0.8189  6 O 2.04-2.18
Ti 0.5000 0.6085 0.3146  3 O 1.81-1.92
Ti 0.5000 0.1085 0.6854  3 O 1.81-1.92
B 0.5000 0.6699 0.6204  3 O 1.36-1.42
B 0.5000 0.1699 0.3796  3 O 1.36-1.42
B 0.0000 0.3293 0.8818  3 O 1.35-1.44
B 0.0000 0.8293 0.1182  3 O 1.35-1.44
O 0.5000 0.7507 0.4940  1 B 1.42
O 0.5000 0.2507 0.5060  1 B 1.42
O 0.0000 0.2484 0.0035  1 B 1.38
O 0.0000 0.7484 0.9965  1 B 1.38
O 0.5000 0.5258 0.6101  1 B 1.36
O 0.5000 0.0258 0.3899  1 B 1.36
O 0.0000 0.4728 0.8850  1 B 1.35
O 0.0000 0.9728 0.1150  1 B 1.35
O 0.0000 0.5033 0.3693  2 Ti 1.92, 1 Mg 2.13
O 0.0000 0.0033 0.6307  2 Ti 1.92, 1 Mg 2.13
O 0.5000 0.5220 0.1446  1 Ti 1.81
O 0.5000 0.0220 0.8554  1 Ti 1.81
O 0.0000 0.7580 0.2525  1 B 1.44
O 0.0000 0.2580 0.7475  1 B 1.44
O 0.5000 0.2392 0.2503  1 B 1.39
O 0.5000 0.7392 0.7497  1 B 1.39



# 7
## SnI2 (GGA-PBE)

Data for a relaxed SnI2 crystal.

Calculated values
formation enthalpy at 0 K: -739 meV per atom

Cell lengths 7.6307, 7.6307, 4.6958 Å; angles 90.00, 90.00, 90.00 degrees
Closest atoms and distances in Å follow each position.
Sites, in units of the cell vectors:
Sn 0.0000 0.0000 0.0000  6 I 3.20-3.22
Sn 0.5000 0.5000 0.5000  6 I 3.20-3.22
I 0.2985 0.2985 0.0000  3 Sn 3.20-3.22
I 0.7015 0.7015 0.0000  3 Sn 3.20-3.22
I 0.2015 0.7985 0.5000  3 Sn 3.20-3.22
I 0.7985 0.2015 0.5000  3 Sn 3.20-3.22



# 8
## Sr2La6TiCu3O16 (GGA-PBE)

Data for a relaxed Sr2La6TiCu3O16 crystal.

Calculated values
formation enthalpy at 0 K: -3084 meV per atom

Cell lengths 7.0874, 7.0874, 10.8679 Å; angles 90.00, 90.00, 134.87 degrees
Closest atoms and distances in Å follow each position.
Sites, in units of the cell vectors:
Sr 0.1444 0.8556 0.0000  9 O 2.58-2.83
Sr 0.8556 0.1444 0.0000  9 O 2.58-2.83
La 0.6408 0.3592 0.7432  1 O 2.26
La 0.3592 0.6408 0.2568  1 O 2.26
La 0.6408 0.3592 0.2568  1 O 2.26
La 0.1390 0.8610 0.5000  1 O 2.32
La 0.8610 0.1390 0.5000  1 O 2.32
La 0.3592 0.6408 0.7432  1 O 2.26
Ti 0.5000 0.5000 0.0000  6 O 1.92-2.08
Cu 0.0000 0.0000 0.7508  4 O 1.92
Cu 0.0000 0.0000 0.2492  4 O 1.92
Cu 0.5000 0.5000 0.5000  4 O 1.93
O 0.8133 0.1867 0.7443  1 La 2.26, 1 Cu 2.44
O 0.2547 0.2547 0.8730  1 Cu 1.92, 1 Ti 1.92
O 0.7453 0.7453 0.8730  1 Cu 1.92, 1 Ti 1.92
O 0.3415 0.6585 0.0000  1 Ti 2.08
O 0.6585 0.3415 0.0000  1 Ti 2.08
O 0.2547 0.2547 0.1270  1 Cu 1.92, 1 Ti 1.92
O 0.7453 0.7453 0.1270  1 Cu 1.92, 1 Ti 1.92
O 0.1867 0.8133 0.2557  1 La 2.26, 1 Cu 2.44
O 0.8133 0.1867 0.2557  1 La 2.26, 1 Cu 2.44
O 0.2485 0.2485 0.3747  2 Cu 1.92-1.93
O 0.7515 0.7515 0.3747  2 Cu 1.92-1.93
O 0.3160 0.6840 0.5000  1 La 2.32, 1 Cu 2.41
O 0.6840 0.3160 0.5000  1 La 2.32, 1 Cu 2.41
O 0.2485 0.2485 0.6253  2 Cu 1.92-1.93
O 0.7515 0.7515 0.6253  2 Cu 1.92-1.93
O 0.1867 0.8133 0.7443  1 La 2.26, 1 Cu 2.44